The following is a DFT calculation (PBE-GGA) of a geometry-optimized Ag2CO3 structure.

Results
Calculated volume   14.0 A^3/atom
Energy above the most stable polymorph in this dataset   30 meV per atom
Formation energy from the elements   -6.38 eV per formula unit
Total DFT energy (no corrections)   -5.68 eV/atom

a b c (Å): 3.447 15.895 9.231
angles (deg): 90.00 90.00 90.00
Positions (direct):
Ag: 0.000 0.071 0.000
Ag: 0.000 0.252 0.524
Ag: 0.000 0.421 0.995
Ag: 0.000 0.579 0.495
Ag: 0.000 0.748 0.024
Ag: 0.000 0.929 0.500
Ag: 0.500 0.078 0.348
Ag: 0.500 0.251 0.832
Ag: 0.500 0.420 0.344
Ag: 0.500 0.580 0.844
Ag: 0.500 0.749 0.332
Ag: 0.500 0.922 0.848
C: 0.000 0.249 0.176
C: 0.000 0.751 0.676
C: 0.500 0.084 0.676
C: 0.500 0.418 0.674
C: 0.500 0.582 0.174
C: 0.500 0.916 0.176
O: 0.000 0.198 0.287
O: 0.000 0.217 0.044
O: 0.000 0.330 0.193
O: 0.000 0.670 0.693
O: 0.000 0.783 0.544
O: 0.000 0.802 0.787
O: 0.500 0.002 0.657
O: 0.500 0.114 0.806
O: 0.500 0.133 0.564
O: 0.500 0.366 0.564
O: 0.500 0.388 0.806
O: 0.500 0.498 0.652
O: 0.500 0.502 0.152
O: 0.500 0.612 0.306
O: 0.500 0.634 0.064
O: 0.500 0.867 0.064
O: 0.500 0.886 0.306
O: 0.500 0.998 0.157



The following is a DFT calculation (PBE-GGA) of a geometry-optimized AgCO3 structure.

Results
Calculated volume   12.0 A^3/atom
Formation energy from the elements   -6.18 eV per formula unit
Total DFT energy (no corrections)   -6.20 eV/atom

a b c (Å): 6.072 6.072 6.072
angles (deg): 49.66 49.66 49.66
Positions (direct):
Ag: 0.000 0.000 0.000
Ag: 0.500 0.500 0.500
C: 0.250 0.250 0.250
C: 0.750 0.750 0.750
O: 0.003 0.750 0.497
O: 0.250 0.503 0.997
O: 0.497 0.003 0.750
O: 0.503 0.997 0.250
O: 0.750 0.497 0.003
O: 0.997 0.250 0.503